Entry 1:
First-principles (r²SCAN) data for a relaxed structure of YTaO4, as listed in the Materials Project database.

abc: 6.503 6.503 5.062
angles: 110.49 110.49 114.93
Sites, in units of the cell vectors:
Y (0.132, 0.868, 0.750)
Y (0.868, 0.132, 0.250)
Ta (0.398, 0.602, 0.250)
Ta (0.602, 0.398, 0.750)
O (0.132, 0.552, 0.339)
O (0.226, 0.289, 0.787)
O (0.289, 0.226, 0.287)
O (0.448, 0.868, 0.161)
O (0.552, 0.132, 0.839)
O (0.711, 0.774, 0.713)
O (0.774, 0.711, 0.213)
O (0.868, 0.448, 0.661)

crystal system	monoclinic
ρ	7.5	g/cm³
formation energy	-3568	meV per atom
uncorrected energy	-228.4	eV for the cell shown

---

Entry 2:
First-principles (r²SCAN) data for a relaxed structure of B2Pb2S5, as listed in the Materials Project database.

abc: 9.706 9.706 15.648
angles: 90.00 90.00 90.00
Sites, in units of the cell vectors:
B (0.069, 0.094, 0.316)
B (0.075, 0.771, 0.319)
B (0.094, 0.069, 0.684)
B (0.229, 0.925, 0.181)
B (0.271, 0.425, 0.069)
B (0.406, 0.569, 0.566)
B (0.425, 0.271, 0.931)
B (0.431, 0.594, 0.934)
B (0.569, 0.406, 0.434)
B (0.575, 0.729, 0.431)
B (0.594, 0.431, 0.066)
B (0.729, 0.575, 0.569)
B (0.771, 0.075, 0.681)
B (0.906, 0.931, 0.184)
B (0.925, 0.229, 0.819)
B (0.931, 0.906, 0.816)
Pb (0.050, 0.355, 0.588)
Pb (0.057, 0.767, 0.570)
Pb (0.145, 0.550, 0.838)
Pb (0.233, 0.943, 0.930)
Pb (0.267, 0.443, 0.320)
Pb (0.355, 0.050, 0.412)
Pb (0.443, 0.267, 0.680)
Pb (0.450, 0.855, 0.662)
Pb (0.550, 0.145, 0.162)
Pb (0.557, 0.733, 0.180)
Pb (0.645, 0.950, 0.912)
Pb (0.733, 0.557, 0.820)
Pb (0.767, 0.057, 0.430)
Pb (0.855, 0.450, 0.338)
Pb (0.943, 0.233, 0.070)
Pb (0.950, 0.645, 0.088)
S (0.066, 0.933, 0.110)
S (0.067, 0.934, 0.390)
S (0.073, 0.251, 0.389)
S (0.075, 0.616, 0.396)
S (0.094, 0.236, 0.752)
S (0.098, 0.902, 0.750)
S (0.116, 0.425, 0.146)
S (0.236, 0.094, 0.248)
S (0.236, 0.764, 0.250)
S (0.249, 0.573, 0.639)
S (0.251, 0.073, 0.611)
S (0.264, 0.264, 0.000)
S (0.264, 0.594, 0.002)
S (0.384, 0.925, 0.104)
S (0.402, 0.402, 0.500)
S (0.406, 0.736, 0.498)
S (0.425, 0.116, 0.854)
S (0.427, 0.751, 0.861)
S (0.433, 0.434, 0.860)
S (0.434, 0.433, 0.140)
S (0.566, 0.567, 0.640)
S (0.567, 0.566, 0.360)
S (0.573, 0.249, 0.361)
S (0.575, 0.884, 0.354)
S (0.594, 0.264, 0.998)
S (0.598, 0.598, 0.000)
S (0.616, 0.075, 0.604)
S (0.736, 0.406, 0.502)
S (0.736, 0.736, 0.500)
S (0.749, 0.927, 0.111)
S (0.751, 0.427, 0.139)
S (0.764, 0.236, 0.750)
S (0.764, 0.906, 0.748)
S (0.884, 0.575, 0.646)
S (0.902, 0.098, 0.250)
S (0.906, 0.764, 0.252)
S (0.925, 0.384, 0.896)
S (0.927, 0.749, 0.889)
S (0.933, 0.066, 0.890)
S (0.934, 0.067, 0.610)

crystal system	tetragonal
ρ	5.4	g/cm³
formation energy	-592	meV per atom
uncorrected energy	-1382.1	eV for the cell shown

---

Entry 3:
First-principles (r²SCAN) data for a relaxed structure of Al4Bi2O9, as listed in the Materials Project database.

abc: 7.704 8.135 5.692
angles: 90.00 90.00 90.00
Sites, in units of the cell vectors:
Al (0.000, 0.000, 0.240)
Al (0.000, 0.000, 0.760)
Al (0.148, 0.339, 0.000)
Al (0.352, 0.839, 0.000)
Al (0.500, 0.500, 0.240)
Al (0.500, 0.500, 0.760)
Al (0.648, 0.161, 0.000)
Al (0.852, 0.661, 0.000)
Bi (0.168, 0.667, 0.500)
Bi (0.332, 0.167, 0.500)
Bi (0.668, 0.833, 0.500)
Bi (0.832, 0.333, 0.500)
O (0.000, 0.500, 0.000)
O (0.125, 0.207, 0.249)
O (0.125, 0.207, 0.751)
O (0.138, 0.914, 0.000)
O (0.144, 0.933, 0.500)
O (0.356, 0.433, 0.500)
O (0.362, 0.414, 0.000)
O (0.375, 0.707, 0.249)
O (0.375, 0.707, 0.751)
O (0.500, 0.000, 0.000)
O (0.625, 0.293, 0.249)
O (0.625, 0.293, 0.751)
O (0.638, 0.586, 0.000)
O (0.644, 0.567, 0.500)
O (0.856, 0.067, 0.500)
O (0.862, 0.086, 0.000)
O (0.875, 0.793, 0.249)
O (0.875, 0.793, 0.751)

crystal system	orthorhombic
ρ	6.2	g/cm³
formation energy	-2701	meV per atom
uncorrected energy	-476.4	eV for the cell shown

---

Entry 4:
First-principles (r²SCAN) data for a relaxed structure of Ca2CdPt2, as listed in the Materials Project database.

abc: 5.645 5.645 5.645
angles: 133.57 117.06 81.71
Sites, in units of the cell vectors:
Ca (0.201, 0.201, 0.000)
Ca (0.799, 0.799, 0.000)
Cd (0.500, 0.000, 0.500)
Pt (0.225, 0.500, 0.725)
Pt (0.775, 0.500, 0.275)

crystal system	orthorhombic
ρ	8.6	g/cm³
formation energy	-891	meV per atom
uncorrected energy	-141.6	eV for the cell shown

---

Entry 5:
First-principles (r²SCAN) data for a relaxed structure of MgI3, as listed in the Materials Project database.

abc: 11.679 11.679 3.487
angles: 90.00 90.00 120.00
Sites, in units of the cell vectors:
Mg (0.333, 0.667, 0.250)
Mg (0.667, 0.333, 0.750)
I (0.217, 0.434, 0.750)
I (0.217, 0.783, 0.750)
I (0.434, 0.217, 0.250)
I (0.566, 0.783, 0.750)
I (0.783, 0.217, 0.250)
I (0.783, 0.566, 0.250)

crystal system	hexagonal
ρ	3.3	g/cm³
formation energy	-662	meV per atom
uncorrected energy	-161.0	eV for the cell shown

---

Entry 6:
First-principles (r²SCAN) data for a relaxed structure of VSe2O6, as listed in the Materials Project database.

abc: 11.261 11.261 7.767
angles: 90.00 90.00 90.00
Sites, in units of the cell vectors:
V (0.000, 0.000, 0.000)
V (0.000, 0.000, 0.500)
V (0.000, 0.500, 0.178)
V (0.000, 0.500, 0.678)
V (0.500, 0.000, 0.178)
V (0.500, 0.000, 0.678)
V (0.500, 0.500, 0.245)
V (0.500, 0.500, 0.745)
Se (0.132, 0.217, 0.181)
Se (0.132, 0.783, 0.681)
Se (0.217, 0.132, 0.681)
Se (0.217, 0.868, 0.181)
Se (0.259, 0.398, 0.575)
Se (0.259, 0.602, 0.075)
Se (0.398, 0.259, 0.075)
Se (0.398, 0.741, 0.575)
Se (0.602, 0.259, 0.575)
Se (0.602, 0.741, 0.075)
Se (0.741, 0.398, 0.075)
Se (0.741, 0.602, 0.575)
Se (0.783, 0.132, 0.181)
Se (0.783, 0.868, 0.681)
Se (0.868, 0.217, 0.681)
Se (0.868, 0.783, 0.181)
O (0.000, 0.000, 0.287)
O (0.000, 0.000, 0.787)
O (0.000, 0.500, 0.468)
O (0.000, 0.500, 0.968)
O (0.024, 0.173, 0.040)
O (0.024, 0.827, 0.540)
O (0.095, 0.356, 0.229)
O (0.095, 0.644, 0.729)
O (0.149, 0.407, 0.720)
O (0.149, 0.593, 0.220)
O (0.173, 0.024, 0.540)
O (0.173, 0.976, 0.040)
O (0.244, 0.245, 0.013)
O (0.244, 0.755, 0.513)
O (0.245, 0.244, 0.513)
O (0.245, 0.756, 0.013)
O (0.356, 0.095, 0.729)
O (0.356, 0.905, 0.229)
O (0.376, 0.379, 0.205)
O (0.376, 0.621, 0.705)
O (0.379, 0.376, 0.705)
O (0.379, 0.624, 0.205)
O (0.407, 0.149, 0.220)
O (0.407, 0.851, 0.720)
O (0.500, 0.000, 0.468)
O (0.500, 0.000, 0.968)
O (0.500, 0.500, 0.458)
O (0.500, 0.500, 0.958)
O (0.593, 0.149, 0.720)
O (0.593, 0.851, 0.220)
O (0.621, 0.376, 0.205)
O (0.621, 0.624, 0.705)
O (0.624, 0.379, 0.705)
O (0.624, 0.621, 0.205)
O (0.644, 0.095, 0.229)
O (0.644, 0.905, 0.729)
O (0.755, 0.244, 0.013)
O (0.755, 0.756, 0.513)
O (0.756, 0.245, 0.513)
O (0.756, 0.755, 0.013)
O (0.827, 0.024, 0.040)
O (0.827, 0.976, 0.540)
O (0.851, 0.407, 0.220)
O (0.851, 0.593, 0.720)
O (0.905, 0.356, 0.729)
O (0.905, 0.644, 0.229)
O (0.976, 0.173, 0.540)
O (0.976, 0.827, 0.040)

crystal system	tetragonal
ρ	4.1	g/cm³
formation energy	-1375	meV per atom
uncorrected energy	-727.4	eV for the cell shown

---

Entry 7:
First-principles (r²SCAN) data for a relaxed structure of U2N3, as listed in the Materials Project database.

abc: 3.710 3.710 5.741
angles: 90.00 90.00 120.00
Sites, in units of the cell vectors:
U (0.333, 0.667, 0.241)
U (0.667, 0.333, 0.759)
N (0.000, 0.000, 0.000)
N (0.333, 0.667, 0.648)
N (0.667, 0.333, 0.352)

crystal system	trigonal
ρ	12.6	g/cm³
formation energy	-1720	meV per atom
uncorrected energy	-195.9	eV for the cell shown

---

Entry 8:
First-principles (r²SCAN) data for a relaxed structure of Ta3TiB4, as listed in the Materials Project database.

abc: 3.124 3.270 8.669
angles: 90.00 90.00 90.00
Sites, in units of the cell vectors:
Ta (0.000, 0.000, 0.000)
Ta (0.000, 0.500, 0.494)
Ta (0.500, 0.500, 0.788)
Ti (0.500, 0.000, 0.288)
B (0.000, 0.000, 0.700)
B (0.000, 0.500, 0.204)
B (0.500, 0.000, 0.581)
B (0.500, 0.500, 0.088)

crystal system	orthorhombic
ρ	11.9	g/cm³
formation energy	-888	meV per atom
uncorrected energy	-195.2	eV for the cell shown

---

Entry 9:
First-principles (r²SCAN) data for a relaxed structure of SmSbIr, as listed in the Materials Project database.

abc: 7.326 4.549 7.920
angles: 90.00 90.00 90.00
Sites, in units of the cell vectors:
Sm (0.014, 0.250, 0.193)
Sm (0.486, 0.750, 0.693)
Sm (0.514, 0.250, 0.307)
Sm (0.986, 0.750, 0.807)
Sb (0.177, 0.250, 0.588)
Sb (0.323, 0.750, 0.088)
Sb (0.677, 0.250, 0.912)
Sb (0.823, 0.750, 0.412)
Ir (0.204, 0.750, 0.411)
Ir (0.296, 0.250, 0.911)
Ir (0.704, 0.750, 0.089)
Ir (0.796, 0.250, 0.589)

crystal system	orthorhombic
ρ	11.7	g/cm³
formation energy	-1016	meV per atom
uncorrected energy	-443.4	eV for the cell shown

---

Entry 10:
First-principles (r²SCAN) data for a relaxed structure of CaAu3, as listed in the Materials Project database.

abc: 4.853 4.853 4.853
angles: 60.00 60.00 60.00
Sites, in units of the cell vectors:
Ca (0.000, 0.000, 0.000)
Au (0.250, 0.250, 0.250)
Au (0.500, 0.500, 0.500)
Au (0.750, 0.750, 0.750)

crystal system	cubic
ρ	13.0	g/cm³
formation energy	-551	meV per atom
uncorrected energy	-161.0	eV for the cell shown

---

Entry 11:
First-principles (r²SCAN) data for a relaxed structure of P4S3, as listed in the Materials Project database.

abc: 11.111 9.933 6.828
angles: 90.00 90.00 90.00
Sites, in units of the cell vectors:
P (0.063, 0.250, 0.090)
P (0.078, 0.637, 0.743)
P (0.078, 0.863, 0.743)
P (0.191, 0.750, 0.155)
P (0.309, 0.250, 0.655)
P (0.422, 0.137, 0.243)
P (0.422, 0.363, 0.243)
P (0.437, 0.750, 0.590)
P (0.563, 0.250, 0.410)
P (0.578, 0.637, 0.757)
P (0.578, 0.863, 0.757)
P (0.691, 0.750, 0.345)
P (0.809, 0.250, 0.845)
P (0.922, 0.137, 0.257)
P (0.922, 0.363, 0.257)
P (0.937, 0.750, 0.910)
S (0.004, 0.750, 0.197)
S (0.206, 0.588, 0.956)
S (0.206, 0.912, 0.956)
S (0.294, 0.088, 0.456)
S (0.294, 0.412, 0.456)
S (0.496, 0.250, 0.697)
S (0.504, 0.750, 0.303)
S (0.706, 0.588, 0.544)
S (0.706, 0.912, 0.544)
S (0.794, 0.088, 0.044)
S (0.794, 0.412, 0.044)
S (0.996, 0.250, 0.803)

crystal system	orthorhombic
ρ	1.9	g/cm³
polymorph energy (0 for the lowest one)	3	meV per atom
formation energy	-151	meV per atom
uncorrected energy	-244.7	eV for the cell shown

---

Entry 12:
First-principles (r²SCAN) data for a relaxed structure of Cd2SiO4, as listed in the Materials Project database.

abc: 7.728 6.678 5.766
angles: 76.40 57.12 46.48
Sites, in units of the cell vectors:
Cd (0.059, 0.691, 0.059)
Cd (0.309, 0.941, 0.309)
Cd (0.691, 0.059, 0.691)
Cd (0.941, 0.309, 0.941)
Si (0.375, 0.375, 0.375)
Si (0.625, 0.625, 0.625)
O (0.189, 0.708, 0.353)
O (0.249, 0.353, 0.708)
O (0.292, 0.811, 0.751)
O (0.353, 0.249, 0.189)
O (0.647, 0.751, 0.811)
O (0.708, 0.189, 0.249)
O (0.751, 0.647, 0.292)
O (0.811, 0.292, 0.647)

crystal system	orthorhombic
ρ	6.0	g/cm³
formation energy	-2069	meV per atom
uncorrected energy	-174.7	eV for the cell shown

---

Q: What is the ρ in the fourth record?
A: 8.6 g/cm³

---

Q: uncorrected energy of number 4 (Ca2CdPt2)?
A: -141.6 eV for the cell shown